Density functional theory data (meta-GGA r2SCAN) for an optimized crystal structure of SnPO4F.

Properties
Total magnetic moment ... 0.00 μB/f.u.
Volume ... 12.9 Å³ per atom
Calculated formation energy ... -2.304 eV/atom
Space group ... Pnma (62)

```
SnPO4F
1.0
7.7349 0.0000 0.0000
0.0000 6.4003 0.0000
0.0000 0.0000 7.2897
Sn P O F
4 4 16 4
direct
0.1277 0.2500 0.2459 Sn
0.3723 0.7500 0.7459 Sn
0.6277 0.2500 0.2541 Sn
0.8723 0.7500 0.7541 Sn
0.1281 0.7500 0.1265 P
0.3719 0.2500 0.6265 P
0.6281 0.7500 0.3735 P
0.8719 0.2500 0.8735 P
0.0388 0.2500 0.9872 O
0.1309 0.5609 0.2539 O
0.1309 0.9391 0.2539 O
0.2116 0.2500 0.5046 O
0.2884 0.7500 0.0046 O
0.3691 0.0609 0.7539 O
0.3691 0.4391 0.7539 O
0.4612 0.7500 0.4872 O
0.5388 0.2500 0.5128 O
0.6309 0.5609 0.2461 O
0.6309 0.9391 0.2461 O
0.7116 0.2500 0.9954 O
0.7884 0.7500 0.4954 O
0.8691 0.0609 0.7461 O
0.8691 0.4391 0.7461 O
0.9612 0.7500 0.0128 O
0.1205 0.7500 0.6531 F
0.3795 0.2500 0.1531 F
0.6205 0.7500 0.8469 F
0.8795 0.2500 0.3469 F
```

---

Density functional theory data (meta-GGA r2SCAN) for an optimized crystal structure of Na2Nb3O6.

Properties
Total magnetic moment ... 0.21 μB/f.u.
Volume ... 12.1 Å³ per atom
Calculated formation energy ... -2.479 eV/atom
Space group ... P-31c (163)

```
Na2Nb3O6
1.0
5.1516 0.0000 0.0000
-2.5758 4.4614 0.0000
0.0000 0.0000 23.2263
Na Nb O
8 12 24
direct
0.0000 0.0000 0.2500 Na
0.0000 0.0000 0.7500 Na
0.3333 0.6667 0.0002 Na
0.3333 0.6667 0.2500 Na
0.3333 0.6667 0.4998 Na
0.6667 0.3333 0.9998 Na
0.6667 0.3333 0.5002 Na
0.6667 0.3333 0.7500 Na
0.0081 0.3334 0.6250 Nb
0.0081 0.6748 0.8750 Nb
0.3252 0.3334 0.8750 Nb
0.3252 0.9919 0.6250 Nb
0.3334 0.0081 0.1250 Nb
0.3334 0.3252 0.3750 Nb
0.6666 0.6748 0.6250 Nb
0.6666 0.9919 0.8750 Nb
0.6748 0.0081 0.3750 Nb
0.6748 0.6666 0.1250 Nb
0.9919 0.3252 0.1250 Nb
0.9919 0.6666 0.3750 Nb
0.0034 0.3409 0.4293 O
0.0034 0.6625 0.0707 O
0.0075 0.3367 0.3207 O
0.0075 0.6708 0.1793 O
0.3292 0.3367 0.1793 O
0.3292 0.9925 0.3207 O
0.3367 0.0075 0.8207 O
0.3367 0.3292 0.6793 O
0.3375 0.3409 0.0707 O
0.3375 0.9966 0.4293 O
0.3409 0.0034 0.9293 O
0.3409 0.3375 0.5707 O
0.6591 0.6625 0.4293 O
0.6591 0.9966 0.0707 O
0.6625 0.0034 0.5707 O
0.6625 0.6591 0.9293 O
0.6633 0.6708 0.3207 O
0.6633 0.9925 0.1793 O
0.6708 0.0075 0.6793 O
0.6708 0.6633 0.8207 O
0.9925 0.3292 0.8207 O
0.9925 0.6633 0.6793 O
0.9966 0.3375 0.9293 O
0.9966 0.6591 0.5707 O
```

---

Density functional theory data (meta-GGA r2SCAN) for an optimized crystal structure of DySbRh.

Properties
Total magnetic moment ... 0.00 μB/f.u.
Volume ... 21.1 Å³ per atom
Calculated formation energy ... -1.116 eV/atom
Space group ... Pnma (62)

```
DySbRh
1.0
7.1488 0.0000 0.0000
0.0000 4.5429 0.0000
0.0000 0.0000 7.7912
Dy Sb Rh
4 4 4
direct
0.0100 0.2500 0.2021 Dy
0.4900 0.7500 0.7021 Dy
0.5100 0.2500 0.2979 Dy
0.9900 0.7500 0.7979 Dy
0.1942 0.2500 0.5913 Sb
0.3058 0.7500 0.0913 Sb
0.6942 0.2500 0.9087 Sb
0.8058 0.7500 0.4087 Sb
0.1955 0.7500 0.4186 Rh
0.3045 0.2500 0.9186 Rh
0.6955 0.7500 0.0814 Rh
0.8045 0.2500 0.5814 Rh
```

---

Density functional theory data (meta-GGA r2SCAN) for an optimized crystal structure of EuZnPd.

Properties
Total magnetic moment ... 3.57 μB/f.u.
Volume ... 21.1 Å³ per atom
Calculated formation energy ... -0.646 eV/atom
Space group ... P2_1/m (11)

```
EuZnPd
1.0
7.2882 0.0000 0.0000
0.0000 4.4292 0.0000
-0.0118 0.0000 7.8566
Eu Zn Pd
4 4 4
direct
0.0129 0.2500 0.1943 Eu
0.4868 0.7500 0.6955 Eu
0.5132 0.2500 0.3045 Eu
0.9871 0.7500 0.8057 Eu
0.1671 0.2500 0.5771 Zn
0.3328 0.7500 0.0777 Zn
0.6672 0.2500 0.9223 Zn
0.8329 0.7500 0.4229 Zn
0.2071 0.7500 0.3993 Pd
0.2932 0.2500 0.8989 Pd
0.7068 0.7500 0.1011 Pd
0.7929 0.2500 0.6007 Pd
```

---

- The highest total magnetic moment belongs to which entry?
  EuZnPd

---

- What is the formula in the fourth record?
  EuZnPd